# RbHC4O4 | the Materials Project database | PBE-GGA | relaxed
# **Energy with MP2020 corrections**: -7.230 eV/atom
# **E_form**: -1.12 eV/atom
# **Total energy**: -6.955 eV/atom
# **Size of the total moment**: 0.000 μB per cell
data_RbHC4O4
_cell_length_a 4.438
_cell_length_b 16.177
_cell_length_c 8.458
_cell_angle_alpha 90.00
_cell_angle_beta 100.94
_cell_angle_gamma 90.00
_symmetry_space_group_name_H-M 'P 1'
_symmetry_Int_Tables_number 1
_symmetry_space_group_name_Hall 'P 1'
loop_
_atom_site_label
_atom_site_type_symbol
_atom_site_fract_x
_atom_site_fract_y
_atom_site_fract_z
Rb1 Rb 0.206 0.066 0.259
Rb2 Rb 0.206 0.434 0.759
Rb3 Rb 0.794 0.566 0.241
Rb4 Rb 0.794 0.934 0.741
H1 H 0.000 0.238 0.521
H2 H 0.000 0.262 0.021
H3 H 0.000 0.738 0.979
H4 H 0.000 0.762 0.479
C1 C 0.354 0.210 0.701
C2 C 0.354 0.290 0.201
C3 C 0.371 0.120 0.717
C4 C 0.371 0.380 0.217
C5 C 0.384 0.631 0.635
C6 C 0.384 0.869 0.135
C7 C 0.399 0.722 0.664
C8 C 0.399 0.778 0.164
C9 C 0.601 0.222 0.836
C10 C 0.601 0.278 0.336
C11 C 0.616 0.131 0.865
C12 C 0.616 0.369 0.365
C13 C 0.629 0.620 0.783
C14 C 0.629 0.880 0.283
C15 C 0.646 0.710 0.799
C16 C 0.646 0.790 0.299
O1 O 0.190 0.236 0.106
O2 O 0.190 0.264 0.606
O3 O 0.238 0.583 0.535
O4 O 0.238 0.917 0.035
O5 O 0.246 0.059 0.640
O6 O 0.246 0.441 0.140
O7 O 0.254 0.714 0.100
O8 O 0.254 0.786 0.600
O9 O 0.746 0.214 0.400
O10 O 0.746 0.286 0.900
O11 O 0.754 0.559 0.860
O12 O 0.754 0.941 0.360
O13 O 0.762 0.083 0.965
O14 O 0.762 0.417 0.465
O15 O 0.810 0.736 0.394
O16 O 0.810 0.764 0.894